LaH18C3S3O18F9, optimized geometry, DFT PBE; symmetry = No. 176; ΔE_f = -1.6652 eV/atom; magnetization = 0.01 μB per formula unit; E_tot = -564.9 eV/cell
1.0
14.1478 0.0000 0.0000
-7.0739 12.2524 0.0000
0.0000 0.0000 7.4314
La H C S O F
2 36 6 6 36 18
Cartesian
0.0000 8.1682 1.8579
7.0739 4.0841 5.5736
-3.2005 7.9129 1.0643
-3.2005 7.9129 2.6514
-1.6803 6.0198 0.2646
-1.6803 6.0198 3.4511
-0.3627 6.1765 4.3027
-0.3627 6.1765 6.8444
-1.5436 9.4783 4.3027
-1.5436 9.4783 6.8444
1.8214 5.5242 1.0643
1.8214 5.5242 2.6514
-1.0204 10.6977 0.2646
-1.0204 10.6977 3.4511
5.6947 1.1847 4.7801
5.6947 1.1847 6.3671
4.3731 4.4651 3.9804
4.3731 4.4651 7.1668
1.9063 8.8500 4.3027
1.9063 8.8500 6.8444
5.1676 3.4023 0.5870
5.1676 3.4023 3.1287
2.7008 7.7872 0.2646
2.7008 7.7872 3.4511
1.3792 11.0677 1.0643
1.3792 11.0677 2.6514
8.0943 1.5547 3.9804
8.0943 1.5547 7.1668
5.2525 6.7282 4.7801
5.2525 6.7282 6.3671
8.6175 2.7741 0.5870
8.6175 2.7741 3.1287
7.4366 6.0759 0.5870
7.4366 6.0759 3.1287
8.7542 6.2325 3.9804
8.7542 6.2325 7.1668
10.2745 4.3394 4.7801
10.2745 4.3394 6.3671
-5.3857 9.5349 5.5736
1.5093 2.8207 5.5736
3.1975 0.1032 1.8579
3.8764 12.1491 5.5736
5.5646 9.4316 1.8579
12.4597 2.7175 1.8579
-3.9517 8.3329 5.5736
1.8333 4.6636 5.5736
4.9554 0.7441 1.8579
2.1185 11.5082 5.5736
5.2406 7.5888 1.8579
11.0256 3.9195 1.8579
-4.1273 7.5675 4.3372
-4.1273 7.5675 6.8099
-2.6298 7.9969 1.8579
-2.7652 9.1960 5.5736
-0.9460 6.6421 0.0575
-0.9460 6.6421 3.6582
0.4925 5.2596 5.5736
-0.8487 9.7506 0.0575
-0.8487 9.7506 3.6582
1.4633 5.9764 1.8579
2.5839 4.8943 4.3372
2.5839 4.8943 6.8099
5.5305 0.2094 0.6215
5.5305 0.2094 3.0942
4.8012 2.2032 1.8579
1.7947 8.1121 0.0575
1.7947 8.1121 3.6582
5.9074 1.7210 5.5736
1.1665 10.5314 1.8579
5.2792 4.1403 3.7732
5.2792 4.1403 7.3740
2.2727 10.0491 5.5736
1.5434 12.0429 4.3372
1.5434 12.0429 6.8099
4.4900 7.3581 0.6215
4.4900 7.3581 3.0942
5.6106 6.2760 5.5736
7.9226 2.5018 3.7732
7.9226 2.5018 7.3740
6.5814 6.9928 1.8579
8.0199 5.6103 3.7732
8.0199 5.6103 7.3740
9.8391 3.0564 1.8579
9.7037 4.2554 5.5736
11.2012 4.6848 0.6215
11.2012 4.6848 3.0942
-5.3399 10.3187 4.4750
-5.3399 10.3187 6.6722
-0.5232 3.4077 1.8579
0.8076 2.4686 4.4750
0.8076 2.4686 6.6722
-3.8612 11.0017 1.8579
2.5416 0.5349 0.7593
2.5416 0.5349 2.9565
2.6895 2.1570 5.5736
4.3844 10.0954 1.8579
4.5323 11.7175 4.4750
4.5323 11.7175 6.6722
10.9351 1.2507 5.5736
6.2663 9.7838 0.7593
6.2663 9.7838 2.9565
7.5971 8.8447 5.5736
12.4138 1.9337 0.7593
12.4138 1.9337 2.9565